1.
InAgSe2: optimized geometry, PBE-GGA.

Results
Its theoretical density is 6.8 g/cm³. As for the total DFT energy (no corrections): -3.45 eV per atom. As for the energy relative to the elements: -0.54 eV/atom.

Lattice parameters (Å, degrees): 8.0452 10.6875 7.0239 29.15 55.00 41.04
With the nearest neighbours (Å) after each atom.
Element x y z (fractional)
In: 0.1272 0.5000 0.7533  6 Se 2.74-2.87
In: 0.3775 0.0009 0.7523  6 Se 2.74-2.88
Ag: 0.6230 0.4961 0.7597  6 Se 2.84-3.02
Ag: 0.8682 0.0023 0.7546  6 Se 2.84-3.03
Se: 0.1347 0.0004 0.2302  3 In 2.75-2.87, 3 Ag 2.84-3.03
Se: 0.6113 0.9964 0.2806  3 In 2.74-2.87, 3 Ag 2.85-2.99
Se: 0.3574 0.5046 0.2723  3 In 2.74-2.88, 3 Ag 2.84-3.00
Se: 0.8862 0.4962 0.2347  3 In 2.75-2.86, 3 Ag 2.85-3.02



2.
InAgSe2: optimized geometry, PBE-GGA.

Results
Its theoretical density is 5.4 g/cm³. As for the total DFT energy (no corrections): -3.55 eV per atom. As for the energy relative to the elements: -0.64 eV/atom.

Lattice parameters (Å, degrees): 7.4876 8.7555 7.1417 90.00 90.00 90.00
With the nearest neighbours (Å) after each atom.
Element x y z (fractional)
In: 0.0729 0.6286 0.6131  4 Se 2.63-2.65
In: 0.9271 0.3714 0.1131  4 Se 2.63-2.65
In: 0.4271 0.1286 0.1131  4 Se 2.63-2.65
In: 0.5729 0.8714 0.6131  4 Se 2.63-2.65
Ag: 0.0883 0.1302 0.6212  4 Se 2.68-2.73
Ag: 0.9117 0.8698 0.1212  4 Se 2.68-2.73
Ag: 0.4117 0.6302 0.1212  4 Se 2.68-2.73
Ag: 0.5883 0.3698 0.6212  4 Se 2.68-2.73
Se: 0.0778 0.6220 0.9846  2 In 2.63-2.65, 2 Ag 2.68
Se: 0.9222 0.3780 0.4846  2 In 2.63-2.65, 2 Ag 2.68
Se: 0.4222 0.1220 0.4846  2 In 2.63-2.65, 2 Ag 2.68
Se: 0.5778 0.8780 0.9846  2 In 2.63-2.65, 2 Ag 2.68
Se: 0.0912 0.1220 0.9962  2 In 2.64-2.65, 2 Ag 2.68-2.73
Se: 0.9088 0.8780 0.4962  2 In 2.64-2.65, 2 Ag 2.68-2.73
Se: 0.4088 0.6220 0.4962  2 In 2.64-2.65, 2 Ag 2.68-2.73
Se: 0.5912 0.3780 0.9962  2 In 2.64-2.65, 2 Ag 2.68-2.73